DFT (GGA-PBE) results for a relaxed Lu6Fe23 crystal.

Cell lengths 8.402, 8.402, 8.402 Å; angles 60.00, 60.00, 60.00 degrees
Fractional coordinates of all 29 atoms:
Lu 0.208 0.208 0.792
Lu 0.208 0.792 0.208
Lu 0.208 0.792 0.792
Lu 0.792 0.208 0.208
Lu 0.792 0.208 0.792
Lu 0.792 0.792 0.208
Fe 0.000 0.000 0.500
Fe 0.000 0.500 0.000
Fe 0.000 0.500 0.500
Fe 0.137 0.621 0.621
Fe 0.174 0.174 0.174
Fe 0.174 0.174 0.477
Fe 0.174 0.477 0.174
Fe 0.379 0.379 0.379
Fe 0.379 0.379 0.863
Fe 0.379 0.863 0.379
Fe 0.477 0.174 0.174
Fe 0.500 0.000 0.000
Fe 0.500 0.000 0.500
Fe 0.500 0.500 0.000
Fe 0.500 0.500 0.500
Fe 0.523 0.826 0.826
Fe 0.621 0.137 0.621
Fe 0.621 0.621 0.137
Fe 0.621 0.621 0.621
Fe 0.826 0.523 0.826
Fe 0.826 0.826 0.523
Fe 0.826 0.826 0.826
Fe 0.863 0.379 0.379

Summary:
Formation enthalpy at 0 K: -0.1043 eV/atom
Total energy: -7.76 eV per atom
Crystal system: cubic

=====

DFT (GGA-PBE) results for a relaxed PbICl crystal.

Cell lengths 8.330, 4.632, 9.872 Å; angles 90.00, 90.00, 90.00 degrees
Fractional coordinates of all 12 atoms:
Pb 0.204 0.250 0.123
Pb 0.296 0.750 0.623
Pb 0.704 0.250 0.377
Pb 0.796 0.750 0.877
I 0.032 0.750 0.330
I 0.468 0.250 0.830
I 0.532 0.750 0.170
I 0.968 0.250 0.670
Cl 0.140 0.750 0.942
Cl 0.360 0.250 0.442
Cl 0.640 0.750 0.558
Cl 0.860 0.250 0.058

Summary:
Formation enthalpy at 0 K: -1.0683 eV/atom
MP2020-corrected energy: -41.2 eV per cell
Total energy: -3.23 eV per atom
Crystal system: orthorhombic

=====

DFT (GGA-PBE) results for a relaxed K3Sn4Au crystal.

Cell lengths 6.945, 12.883, 6.667 Å; angles 90.00, 90.00, 90.00 degrees
Fractional coordinates of all 16 atoms:
K 0.250 0.003 0.172
K 0.250 0.250 0.558
K 0.250 0.497 0.172
K 0.750 0.503 0.828
K 0.750 0.750 0.442
K 0.750 0.997 0.828
Sn 0.018 0.750 0.960
Sn 0.250 0.628 0.667
Sn 0.250 0.872 0.667
Sn 0.482 0.750 0.960
Sn 0.518 0.250 0.040
Sn 0.750 0.128 0.333
Sn 0.750 0.372 0.333
Sn 0.982 0.250 0.040
Au 0.250 0.750 0.313
Au 0.750 0.250 0.687

Summary:
Formation enthalpy at 0 K: -0.3439 eV/atom
Total energy: -3.17 eV per atom
Crystal system: orthorhombic

=====

DFT (GGA-PBE) results for a relaxed Tb5P12Ru19 crystal.

Cell lengths 12.557, 12.557, 3.982 Å; angles 90.00, 90.00, 120.00 degrees
Fractional coordinates of all 36 atoms:
Tb 0.000 0.185 0.000
Tb 0.185 0.000 0.000
Tb 0.333 0.667 0.500
Tb 0.667 0.333 0.500
Tb 0.815 0.815 0.000
P 0.000 0.373 0.500
P 0.000 0.816 0.500
P 0.170 0.693 0.000
P 0.184 0.184 0.500
P 0.307 0.478 0.000
P 0.373 0.000 0.500
P 0.478 0.307 0.000
P 0.522 0.830 0.000
P 0.627 0.627 0.500
P 0.693 0.170 0.000
P 0.816 0.000 0.500
P 0.830 0.522 0.000
Ru 0.000 0.000 0.500
Ru 0.000 0.554 0.500
Ru 0.000 0.717 0.000
Ru 0.126 0.491 0.000
Ru 0.184 0.807 0.500
Ru 0.193 0.377 0.500
Ru 0.283 0.283 0.000
Ru 0.365 0.874 0.000
Ru 0.377 0.193 0.500
Ru 0.446 0.446 0.500
Ru 0.491 0.126 0.000
Ru 0.509 0.635 0.000
Ru 0.554 0.000 0.500
Ru 0.623 0.816 0.500
Ru 0.635 0.509 0.000
Ru 0.717 0.000 0.000
Ru 0.807 0.184 0.500
Ru 0.816 0.623 0.500
Ru 0.874 0.365 0.000

Summary:
Formation enthalpy at 0 K: -0.8619 eV/atom
Total energy: -8.20 eV per atom
Crystal system: hexagonal

=====

DFT (GGA-PBE) results for a relaxed Re3Br9O2 crystal.

Cell lengths 9.334, 9.334, 10.851 Å; angles 101.96, 101.96, 69.28 degrees
Fractional coordinates of all 28 atoms:
Re 0.085 0.303 0.360
Re 0.290 0.290 0.132
Re 0.303 0.085 0.360
Re 0.697 0.915 0.640
Re 0.710 0.710 0.868
Re 0.915 0.697 0.640
Br 0.040 0.485 0.196
Br 0.118 0.793 0.769
Br 0.131 0.131 0.531
Br 0.134 0.134 0.998
Br 0.182 0.497 0.523
Br 0.207 0.882 0.231
Br 0.433 0.433 0.299
Br 0.485 0.040 0.196
Br 0.497 0.182 0.523
Br 0.503 0.818 0.477
Br 0.515 0.960 0.804
Br 0.567 0.567 0.701
Br 0.793 0.118 0.769
Br 0.818 0.503 0.477
Br 0.866 0.866 0.002
Br 0.869 0.869 0.469
Br 0.882 0.207 0.231
Br 0.960 0.515 0.804
O 0.247 0.753 0.000
O 0.339 0.339 0.010
O 0.661 0.661 0.990
O 0.753 0.247 0.000

Summary:
Formation enthalpy at 0 K: -0.1963 eV/atom
MP2020-corrected energy: -129.4 eV per cell
Total energy: -4.52 eV per atom
Excess energy over the best structure of this formula in the dataset: 0 meV/atom
Crystal system: monoclinic

=====

DFT (GGA-PBE) results for a relaxed V3Ni20B6 crystal.

Cell lengths 7.366, 7.366, 7.366 Å; angles 60.00, 60.00, 60.00 degrees
Fractional coordinates of all 29 atoms:
V 0.000 0.000 0.000
V 0.250 0.250 0.250
V 0.750 0.750 0.750
Ni 0.000 0.000 0.340
Ni 0.000 0.000 0.660
Ni 0.000 0.340 0.000
Ni 0.000 0.340 0.660
Ni 0.000 0.660 0.000
Ni 0.000 0.660 0.340
Ni 0.145 0.618 0.618
Ni 0.340 0.000 0.000
Ni 0.340 0.000 0.660
Ni 0.340 0.660 0.000
Ni 0.382 0.382 0.382
Ni 0.382 0.382 0.855
Ni 0.382 0.855 0.382
Ni 0.618 0.145 0.618
Ni 0.618 0.618 0.145
Ni 0.618 0.618 0.618
Ni 0.660 0.000 0.000
Ni 0.660 0.000 0.340
Ni 0.660 0.340 0.000
Ni 0.855 0.382 0.382
B 0.270 0.270 0.730
B 0.270 0.730 0.270
B 0.270 0.730 0.730
B 0.730 0.270 0.270
B 0.730 0.270 0.730
B 0.730 0.730 0.270

Summary:
Formation enthalpy at 0 K: -0.3089 eV/atom
Total energy: -6.62 eV per atom
Crystal system: cubic

=====

DFT (GGA-PBE) results for a relaxed GaCl3 crystal.

Cell lengths 7.117, 7.174, 7.292 Å; angles 91.93, 116.13, 116.91 degrees
Fractional coordinates of all 8 atoms:
Ga 0.069 0.152 0.220
Ga 0.931 0.848 0.780
Cl 0.119 0.681 0.803
Cl 0.211 0.215 0.981
Cl 0.345 0.172 0.517
Cl 0.655 0.828 0.483
Cl 0.789 0.785 0.019
Cl 0.881 0.319 0.197

Summary:
Formation enthalpy at 0 K: -1.5664 eV/atom
MP2020-corrected energy: -29.7 eV per cell
Total energy: -3.25 eV per atom
Crystal system: triclinic

=====

DFT (GGA-PBE) results for a relaxed Cd4Se4O15 crystal.

Cell lengths 9.693, 8.733, 10.180 Å; angles 90.00, 117.88, 90.00 degrees
Fractional coordinates of all 46 atoms:
Cd 0.181 0.000 0.156
Cd 0.191 0.498 0.510
Cd 0.195 0.085 0.517
Cd 0.205 0.574 0.157
Cd 0.795 0.074 0.843
Cd 0.805 0.585 0.483
Cd 0.809 0.998 0.490
Cd 0.819 0.500 0.844
Se 0.057 0.286 0.733
Se 0.075 0.790 0.824
Se 0.472 0.306 0.851
Se 0.474 0.917 0.516
Se 0.526 0.417 0.484
Se 0.528 0.806 0.149
Se 0.925 0.290 0.176
Se 0.943 0.786 0.267
O 0.012 0.425 0.599
O 0.022 0.932 0.912
O 0.038 0.118 0.634
O 0.054 0.622 0.907
O 0.090 0.282 0.345
O 0.111 0.779 0.248
O 0.291 0.203 0.062
O 0.333 0.345 0.085
O 0.345 0.297 0.666
O 0.345 0.804 0.136
O 0.347 0.611 0.745
O 0.349 0.523 0.399
O 0.350 0.055 0.389
O 0.405 0.931 0.641
O 0.431 0.535 0.871
O 0.569 0.035 0.129
O 0.595 0.431 0.359
O 0.650 0.555 0.611
O 0.651 0.023 0.601
O 0.653 0.111 0.255
O 0.655 0.304 0.864
O 0.655 0.797 0.334
O 0.667 0.845 0.915
O 0.709 0.703 0.938
O 0.889 0.279 0.752
O 0.910 0.782 0.655
O 0.946 0.122 0.093
O 0.962 0.618 0.366
O 0.978 0.432 0.088
O 0.988 0.925 0.401

Summary:
Formation enthalpy at 0 K: -0.8873 eV/atom
MP2020-corrected energy: -224.6 eV per cell
Total energy: -4.78 eV per atom
Crystal system: monoclinic